1.
Entry from the Materials Project database: a relaxed structure of LiFeF4 (GGA+U).

a b c (Å): 5.520 5.625 5.472
angles (deg): 90.00 118.12 90.00
Space group P2/c (No. 13)
Symmetry-distinct sites (fractional):
1 Li 0.000 0.095 0.250 (multiplicity 2)
2 Fe 0.500 0.356 0.250 (multiplicity 2)
3 F 0.223 0.132 0.045 (multiplicity 4)
4 F 0.298 0.384 0.474 (multiplicity 4)

Summary:
For the magnetization, the calculation gives 5.00 μB per formula unit. The value obtained for the MP2020-corrected energy is -69.8 eV per cell. The offset from the most stable computed form is 11 meV per atom. The volume comes out at 12.49 Å³ per atom. Its formation energy is -16.9 eV per formula unit.

---

2.
Entry from the Materials Project database: a relaxed structure of Cs2CoH12S2O14 (GGA+U).

a b c (Å): 6.432 12.979 9.366
angles (deg): 90.00 106.94 90.00
Space group P2_1/c (No. 14)
Symmetry-distinct sites (fractional):
1 Cs 0.149 0.144 0.369 (multiplicity 4)
2 Co 0.500 0.000 0.000 (multiplicity 2)
3 H 0.169 0.558 0.602 (multiplicity 4)
4 H 0.180 0.099 0.783 (multiplicity 4)
5 H 0.187 0.638 0.480 (multiplicity 4)
6 H 0.415 0.130 0.762 (multiplicity 4)
7 H 0.431 0.597 0.227 (multiplicity 4)
8 H 0.484 0.685 0.351 (multiplicity 4)
9 S 0.240 0.647 0.898 (multiplicity 4)
10 O 0.104 0.582 0.772 (multiplicity 4)
11 O 0.108 0.738 0.918 (multiplicity 4)
12 O 0.206 0.564 0.507 (multiplicity 4)
13 O 0.304 0.583 0.035 (multiplicity 4)
14 O 0.338 0.110 0.835 (multiplicity 4)
15 O 0.438 0.685 0.860 (multiplicity 4)
16 O 0.485 0.111 0.167 (multiplicity 4)

Summary:
For the magnetization, the calculation gives 3.15 μB per formula unit. The value obtained for the MP2020-corrected energy is -353.8 eV per cell. The volume comes out at 12.06 Å³ per atom. Its formation energy is -49.7 eV per formula unit.

---

3.
Entry from the Materials Project database: a relaxed structure of Li9Mn2Co5O16 (GGA+U).

a b c (Å): 19.430 2.916 10.172
angles (deg): 90.00 94.28 90.00
Space group Cm (No. 8)
Symmetry-distinct sites (fractional):
1 Li 0.000 0.000 0.000 (multiplicity 2)
2 Li 0.000 0.500 0.249 (multiplicity 2)
3 Li 0.002 0.500 0.751 (multiplicity 2)
4 Li 0.005 0.000 0.500 (multiplicity 2)
5 Li 0.120 0.500 0.440 (multiplicity 2)
6 Li 0.234 0.000 0.382 (multiplicity 2)
7 Li 0.237 0.500 0.127 (multiplicity 2)
8 Li 0.239 0.000 0.876 (multiplicity 2)
9 Li 0.241 0.500 0.629 (multiplicity 2)
10 Mn 0.369 0.000 0.565 (multiplicity 2)
11 Mn 0.371 0.000 0.064 (multiplicity 2)
12 Co 0.119 0.000 0.204 (multiplicity 2)
13 Co 0.120 0.500 0.940 (multiplicity 2)
14 Co 0.121 0.000 0.675 (multiplicity 2)
15 Co 0.370 0.500 0.315 (multiplicity 2)
16 Co 0.371 0.500 0.815 (multiplicity 2)
17 O 0.057 0.000 0.329 (multiplicity 2)
18 O 0.061 0.500 0.602 (multiplicity 2)
19 O 0.063 0.000 0.846 (multiplicity 2)
20 O 0.066 0.500 0.087 (multiplicity 2)
21 O 0.176 0.000 0.033 (multiplicity 2)
22 O 0.176 0.500 0.793 (multiplicity 2)
23 O 0.180 0.500 0.278 (multiplicity 2)
24 O 0.181 0.000 0.549 (multiplicity 2)
25 O 0.313 0.500 0.990 (multiplicity 2)
26 O 0.314 0.500 0.485 (multiplicity 2)
27 O 0.315 0.000 0.716 (multiplicity 2)
28 O 0.318 0.000 0.222 (multiplicity 2)
29 O 0.422 0.000 0.406 (multiplicity 2)
30 O 0.425 0.000 0.915 (multiplicity 2)
31 O 0.426 0.500 0.144 (multiplicity 2)
32 O 0.426 0.500 0.639 (multiplicity 2)

Summary:
For the magnetization, the calculation gives 16.00 μB per formula unit. The value obtained for the MP2020-corrected energy is -416.1 eV per cell. The offset from the most stable computed form is 57 meV per atom. The volume comes out at 8.98 Å³ per atom. Its formation energy is -57.8 eV per formula unit.

---

4.
Entry from the Materials Project database: a relaxed structure of Ca3Fe2Ge3O12 (GGA+U).

a b c (Å): 12.472 12.472 12.472
angles (deg): 90.00 90.00 90.00
Space group Ia-3d (No. 230)
Symmetry-distinct sites (fractional):
1 Ca 0.000 0.250 0.125 (multiplicity 24)
2 Fe 0.000 0.000 0.000 (multiplicity 16)
3 Ge 0.000 0.250 0.375 (multiplicity 24)
4 O 0.034 0.051 0.652 (multiplicity 96)

Summary:
For the magnetization, the calculation gives 10.00 μB per formula unit. The value obtained for the MP2020-corrected energy is -1174.0 eV per cell. The volume comes out at 12.12 Å³ per atom. Its formation energy is -50.5 eV per formula unit.

---

5.
Entry from the Materials Project database: a relaxed structure of Li9Mn2Co5O16 (GGA+U).

a b c (Å): 4.991 5.942 10.244
angles (deg): 106.00 100.31 90.69
Space group P1 (No. 1)
Symmetry-distinct sites (fractional):
1 Li 0.000 0.000 0.000 (multiplicity 1)
2 Li 0.000 0.493 0.490 (multiplicity 1)
3 Li 0.007 0.983 0.491 (multiplicity 1)
4 Li 0.503 0.252 0.003 (multiplicity 1)
5 Li 0.503 0.746 0.003 (multiplicity 1)
6 Li 0.508 0.241 0.494 (multiplicity 1)
7 Li 0.508 0.745 0.497 (multiplicity 1)
8 Li 0.753 0.619 0.247 (multiplicity 1)
9 Li 0.997 0.500 0.998 (multiplicity 1)
10 Mn 0.253 0.870 0.247 (multiplicity 1)
11 Mn 0.755 0.121 0.748 (multiplicity 1)
12 Co 0.248 0.867 0.743 (multiplicity 1)
13 Co 0.254 0.382 0.247 (multiplicity 1)
14 Co 0.259 0.374 0.751 (multiplicity 1)
15 Co 0.753 0.620 0.746 (multiplicity 1)
16 Co 0.754 0.115 0.247 (multiplicity 1)
17 O 0.110 0.680 0.861 (multiplicity 1)
18 O 0.117 0.164 0.359 (multiplicity 1)
19 O 0.119 0.174 0.864 (multiplicity 1)
20 O 0.155 0.692 0.362 (multiplicity 1)
21 O 0.352 0.579 0.132 (multiplicity 1)
22 O 0.390 0.055 0.135 (multiplicity 1)
23 O 0.391 0.068 0.633 (multiplicity 1)
24 O 0.395 0.561 0.630 (multiplicity 1)
25 O 0.607 0.447 0.872 (multiplicity 1)
26 O 0.617 0.933 0.858 (multiplicity 1)
27 O 0.620 0.944 0.356 (multiplicity 1)
28 O 0.623 0.395 0.353 (multiplicity 1)
29 O 0.885 0.291 0.140 (multiplicity 1)
30 O 0.887 0.837 0.139 (multiplicity 1)
31 O 0.890 0.307 0.636 (multiplicity 1)
32 O 0.898 0.794 0.622 (multiplicity 1)

Summary:
For the magnetization, the calculation gives 8.00 μB per formula unit. The value obtained for the MP2020-corrected energy is -208.7 eV per cell. The offset from the most stable computed form is 37 meV per atom. The volume comes out at 8.96 Å³ per atom. Its formation energy is -58.5 eV per formula unit.

---

6.
Entry from the Materials Project database: a relaxed structure of Li4CrTeW2O12 (GGA+U).

a b c (Å): 5.185 5.495 15.155
angles (deg): 85.49 89.82 89.98
Space group P1 (No. 1)
Symmetry-distinct sites (fractional):
1 Li 0.000 0.000 0.000 (multiplicity 1)
2 Li 0.002 0.929 0.482 (multiplicity 1)
3 Li 0.008 0.866 0.693 (multiplicity 1)
4 Li 0.012 0.897 0.202 (multiplicity 1)
5 Li 0.497 0.333 0.464 (multiplicity 1)
6 Li 0.502 0.362 0.967 (multiplicity 1)
7 Li 0.509 0.350 0.695 (multiplicity 1)
8 Li 0.513 0.331 0.197 (multiplicity 1)
9 Cr 0.500 0.921 0.099 (multiplicity 1)
10 Cr 0.506 0.930 0.599 (multiplicity 1)
11 Te 0.001 0.413 0.346 (multiplicity 1)
12 Te 0.009 0.430 0.847 (multiplicity 1)
13 W 0.008 0.435 0.099 (multiplicity 1)
14 W 0.511 0.924 0.849 (multiplicity 1)
15 W 0.514 0.917 0.349 (multiplicity 1)
16 W 0.994 0.434 0.596 (multiplicity 1)
17 O 0.138 0.444 0.730 (multiplicity 1)
18 O 0.143 0.421 0.215 (multiplicity 1)
19 O 0.183 0.735 0.069 (multiplicity 1)
20 O 0.186 0.739 0.579 (multiplicity 1)
21 O 0.194 0.113 0.387 (multiplicity 1)
22 O 0.206 0.132 0.885 (multiplicity 1)
23 O 0.297 0.234 0.066 (multiplicity 1)
24 O 0.303 0.249 0.578 (multiplicity 1)
25 O 0.316 0.622 0.883 (multiplicity 1)
26 O 0.366 0.626 0.390 (multiplicity 1)
27 O 0.381 0.941 0.228 (multiplicity 1)
28 O 0.390 0.943 0.732 (multiplicity 1)
29 O 0.618 0.934 0.968 (multiplicity 1)
30 O 0.627 0.969 0.471 (multiplicity 1)
31 O 0.671 0.264 0.317 (multiplicity 1)
32 O 0.699 0.242 0.817 (multiplicity 1)
33 O 0.703 0.611 0.126 (multiplicity 1)
34 O 0.710 0.628 0.635 (multiplicity 1)
35 O 0.809 0.131 0.120 (multiplicity 1)
36 O 0.809 0.140 0.635 (multiplicity 1)
37 O 0.820 0.740 0.817 (multiplicity 1)
38 O 0.826 0.797 0.311 (multiplicity 1)
39 O 0.867 0.438 0.481 (multiplicity 1)
40 O 0.879 0.422 0.967 (multiplicity 1)

Summary:
For the magnetization, the calculation gives 2.96 μB per formula unit. The value obtained for the MP2020-corrected energy is -297.4 eV per cell. The offset from the most stable computed form is 7 meV per atom. The volume comes out at 10.76 Å³ per atom. Its formation energy is -43.0 eV per formula unit.

---

7.
Entry from the Materials Project database: a relaxed structure of AlAgW2O8 (GGA+U).

a b c (Å): 5.128 5.719 5.733
angles (deg): 111.39 91.74 110.35
Space group P-1 (No. 2)
Symmetry-distinct sites (fractional):
1 Al 0.000 0.000 0.000 (multiplicity 1)
2 Ag 0.500 0.000 0.500 (multiplicity 1)
3 W 0.253 0.500 0.685 (multiplicity 2)
4 O 0.132 0.689 0.462 (multiplicity 2)
5 O 0.213 0.789 0.939 (multiplicity 2)
6 O 0.228 0.256 0.830 (multiplicity 2)
7 O 0.328 0.295 0.313 (multiplicity 2)

Summary:
For the magnetization, the calculation gives 0.00 μB per formula unit. The value obtained for the MP2020-corrected energy is -96.6 eV per cell. The offset from the most stable computed form is 73 meV per atom. The volume comes out at 12.03 Å³ per atom. Its formation energy is -24.5 eV per formula unit.

---

8.
Entry from the Materials Project database: a relaxed structure of Gd2MoO6 (GGA+U).

a b c (Å): 16.682 11.302 5.477
angles (deg): 90.00 108.12 90.00
Space group C2/c (No. 15)
Symmetry-distinct sites (fractional):
1 Gd 0.000 0.109 0.250 (multiplicity 4)
2 Gd 0.000 0.365 0.750 (multiplicity 4)
3 Gd 0.169 0.116 0.880 (multiplicity 8)
4 Mo 0.154 0.357 0.440 (multiplicity 8)
5 O 0.073 0.236 0.585 (multiplicity 8)
6 O 0.080 0.467 0.484 (multiplicity 8)
7 O 0.092 0.017 0.078 (multiplicity 8)
8 O 0.106 0.279 0.135 (multiplicity 8)
9 O 0.228 0.297 0.741 (multiplicity 8)
10 O 0.234 0.446 0.363 (multiplicity 8)

Summary:
The value obtained for the MP2020-corrected energy is -775.6 eV per cell. The volume comes out at 13.63 Å³ per atom. Its formation energy is -28.3 eV per formula unit.